P.
# Ca2Al4Si8O33

A relaxed structure of Ca2Al4Si8O33 (PBE, the Materials Project).

Summary:
- Space group: C2/m, No. 12

a = 10.024 Å, b = 10.024 Å, c = 7.418 Å
α = 106.33°, β = 106.33°, γ = 83.16°
Sites, in units of the cell vectors:
Ca (0.242, 0.242, 0.273)
Ca (0.758, 0.758, 0.727)
Al (0.177, 0.563, 0.270)
Al (0.437, 0.823, 0.730)
Al (0.563, 0.177, 0.270)
Al (0.823, 0.437, 0.730)
Si (0.144, 0.377, 0.842)
Si (0.306, 0.540, 0.691)
Si (0.377, 0.144, 0.842)
Si (0.460, 0.694, 0.309)
Si (0.540, 0.306, 0.691)
Si (0.623, 0.856, 0.158)
Si (0.694, 0.460, 0.309)
Si (0.856, 0.623, 0.158)
O (0.000, 0.000, 0.500)
O (0.012, 0.249, 0.367)
O (0.016, 0.650, 0.279)
O (0.074, 0.074, 0.015)
O (0.137, 0.863, 0.000)
O (0.160, 0.405, 0.076)
O (0.199, 0.513, 0.807)
O (0.238, 0.238, 0.766)
O (0.238, 0.474, 0.457)
O (0.249, 0.012, 0.367)
O (0.297, 0.670, 0.264)
O (0.330, 0.703, 0.736)
O (0.350, 0.984, 0.721)
O (0.405, 0.160, 0.076)
O (0.454, 0.454, 0.755)
O (0.474, 0.238, 0.457)
O (0.487, 0.801, 0.193)
O (0.513, 0.199, 0.807)
O (0.526, 0.762, 0.543)
O (0.546, 0.546, 0.245)
O (0.595, 0.840, 0.924)
O (0.650, 0.016, 0.279)
O (0.670, 0.297, 0.264)
O (0.703, 0.330, 0.736)
O (0.751, 0.988, 0.633)
O (0.762, 0.526, 0.543)
O (0.762, 0.762, 0.234)
O (0.801, 0.487, 0.193)
O (0.840, 0.595, 0.924)
O (0.863, 0.137, 0.000)
O (0.926, 0.926, 0.985)
O (0.984, 0.350, 0.721)
O (0.988, 0.751, 0.633)

Q.
# Ca2Al4Si8O33

A relaxed structure of Ca2Al4Si8O33 (PBE, the Materials Project).

Summary:
- Space group: C2/m, No. 12

a = 10.042 Å, b = 10.042 Å, c = 7.537 Å
α = 104.72°, β = 104.72°, γ = 82.90°
Sites, in units of the cell vectors:
Ca (0.238, 0.238, 0.220)
Ca (0.762, 0.762, 0.780)
Al (0.067, 0.675, 0.771)
Al (0.325, 0.933, 0.229)
Al (0.675, 0.067, 0.771)
Al (0.933, 0.325, 0.229)
Si (0.040, 0.804, 0.187)
Si (0.117, 0.352, 0.643)
Si (0.196, 0.960, 0.813)
Si (0.352, 0.117, 0.643)
Si (0.648, 0.883, 0.357)
Si (0.804, 0.040, 0.187)
Si (0.883, 0.648, 0.357)
Si (0.960, 0.196, 0.813)
O (0.017, 0.699, 0.311)
O (0.021, 0.266, 0.039)
O (0.050, 0.050, 0.758)
O (0.090, 0.331, 0.413)
O (0.146, 0.510, 0.753)
O (0.174, 0.798, 0.774)
O (0.202, 0.826, 0.226)
O (0.255, 0.255, 0.714)
O (0.266, 0.021, 0.039)
O (0.301, 0.983, 0.689)
O (0.331, 0.090, 0.413)
O (0.334, 0.429, 0.118)
O (0.421, 0.579, 0.500)
O (0.429, 0.334, 0.118)
O (0.439, 0.439, 0.539)
O (0.490, 0.854, 0.247)
O (0.500, 0.500, 0.000)
O (0.510, 0.146, 0.753)
O (0.561, 0.561, 0.461)
O (0.571, 0.666, 0.882)
O (0.579, 0.421, 0.500)
O (0.666, 0.571, 0.882)
O (0.669, 0.910, 0.587)
O (0.699, 0.017, 0.311)
O (0.734, 0.979, 0.961)
O (0.745, 0.745, 0.286)
O (0.798, 0.174, 0.774)
O (0.826, 0.202, 0.226)
O (0.854, 0.490, 0.247)
O (0.910, 0.669, 0.587)
O (0.950, 0.950, 0.242)
O (0.979, 0.734, 0.961)
O (0.983, 0.301, 0.689)

Result of the stability comparison: P is the most stable of them.

P.
# LiBH4

A relaxed structure of LiBH4 (PBE, the Materials Project).

Summary:
- Space group: P-1, No. 2

a = 4.073 Å, b = 4.080 Å, c = 5.067 Å
α = 90.22°, β = 90.12°, γ = 90.00°
Sites, in units of the cell vectors:
Li (0.248, 0.259, 0.250)
Li (0.752, 0.741, 0.750)
B (0.242, 0.256, 0.749)
B (0.758, 0.744, 0.251)
H (0.005, 0.750, 0.388)
H (0.256, 0.501, 0.882)
H (0.257, 0.007, 0.888)
H (0.496, 0.249, 0.610)
H (0.504, 0.751, 0.390)
H (0.743, 0.993, 0.112)
H (0.744, 0.499, 0.118)
H (0.995, 0.250, 0.612)

Q.
# LiBH4

A relaxed structure of LiBH4 (PBE, the Materials Project).

Summary:
- Space group: Ama2, No. 40

a = 6.395 Å, b = 3.964 Å, c = 3.964 Å
α = 90.54°, β = 90.00°, γ = 90.00°
Sites, in units of the cell vectors:
Li (0.000, 0.000, 0.000)
Li (0.500, 0.000, 0.000)
B (0.250, 0.976, 0.509)
B (0.750, 0.509, 0.976)
H (0.095, 0.158, 0.522)
H (0.250, 0.768, 0.733)
H (0.250, 0.805, 0.251)
H (0.405, 0.158, 0.522)
H (0.595, 0.522, 0.158)
H (0.750, 0.251, 0.805)
H (0.750, 0.733, 0.768)
H (0.905, 0.522, 0.158)

Result of the stability comparison: Q is the most stable of them.

P.
# LiTi2O4

A relaxed structure of LiTi2O4 (PBE, the Materials Project).

Summary:
- Space group: Imm2, No. 44

a = 3.838 Å, b = 4.065 Å, c = 9.121 Å
α = 90.00°, β = 90.00°, γ = 90.00°
Sites, in units of the cell vectors:
Li (0.000, 0.000, 0.000)
Li (0.500, 0.500, 0.500)
Ti (0.000, 0.000, 0.568)
Ti (0.000, 0.500, 0.789)
Ti (0.500, 0.000, 0.289)
Ti (0.500, 0.500, 0.068)
O (0.000, 0.000, 0.332)
O (0.000, 0.000, 0.782)
O (0.000, 0.500, 0.023)
O (0.000, 0.500, 0.572)
O (0.500, 0.000, 0.072)
O (0.500, 0.000, 0.523)
O (0.500, 0.500, 0.282)
O (0.500, 0.500, 0.832)

Q.
# LiTi2O4

A relaxed structure of LiTi2O4 (PBE, the Materials Project).

Summary:
- Space group: Pnnm, No. 58

a = 8.210 Å, b = 9.167 Å, c = 3.813 Å
α = 90.00°, β = 90.00°, γ = 90.00°
Sites, in units of the cell vectors:
Li (0.123, 0.159, 0.000)
Li (0.377, 0.659, 0.500)
Li (0.623, 0.341, 0.500)
Li (0.877, 0.841, 0.000)
Ti (0.117, 0.606, 0.000)
Ti (0.140, 0.884, 0.500)
Ti (0.360, 0.384, 0.000)
Ti (0.383, 0.106, 0.500)
Ti (0.617, 0.894, 0.500)
Ti (0.640, 0.616, 0.000)
Ti (0.860, 0.116, 0.500)
Ti (0.883, 0.394, 0.000)
O (0.116, 0.844, 0.000)
O (0.125, 0.094, 0.500)
O (0.125, 0.386, 0.000)
O (0.135, 0.650, 0.500)
O (0.365, 0.150, 0.000)
O (0.375, 0.594, 0.000)
O (0.375, 0.886, 0.500)
O (0.384, 0.344, 0.500)
O (0.616, 0.656, 0.500)
O (0.625, 0.114, 0.500)
O (0.625, 0.406, 0.000)
O (0.635, 0.850, 0.000)
O (0.865, 0.350, 0.500)
O (0.875, 0.614, 0.000)
O (0.875, 0.906, 0.500)
O (0.884, 0.156, 0.000)

Result of the stability comparison: Q is the most stable of them.

P.
# MgSb2O4

A relaxed structure of MgSb2O4 (PBE, the Materials Project).

Summary:
- Space group: R3m, No. 160

a = 6.546 Å, b = 6.546 Å, c = 6.546 Å
α = 61.76°, β = 61.76°, γ = 61.76°
Sites, in units of the cell vectors:
Mg (0.000, 0.000, 0.000)
Mg (0.377, 0.377, 0.377)
Sb (0.385, 0.385, 0.877)
Sb (0.385, 0.877, 0.385)
Sb (0.779, 0.779, 0.779)
Sb (0.877, 0.385, 0.385)
O (0.134, 0.134, 0.602)
O (0.134, 0.602, 0.134)
O (0.139, 0.139, 0.139)
O (0.154, 0.596, 0.596)
O (0.596, 0.154, 0.596)
O (0.596, 0.596, 0.154)
O (0.602, 0.134, 0.134)
O (0.654, 0.654, 0.654)

Q.
# MgSb2O4

A relaxed structure of MgSb2O4 (PBE, the Materials Project).

Summary:
- Space group: P1, No. 1

a = 6.049 Å, b = 6.060 Å, c = 20.476 Å
α = 89.71°, β = 85.80°, γ = 69.04°
Sites, in units of the cell vectors:
Mg (0.000, 0.000, 0.000)
Mg (0.021, 0.079, 0.427)
Mg (0.279, 0.347, 0.303)
Mg (0.371, 0.384, 0.077)
Mg (0.736, 0.717, 0.706)
Mg (0.907, 0.089, 0.662)
Sb (0.095, 0.728, 0.843)
Sb (0.290, 0.916, 0.189)
Sb (0.324, 0.212, 0.919)
Sb (0.370, 0.323, 0.695)
Sb (0.394, 0.456, 0.449)
Sb (0.452, 0.043, 0.557)
Sb (0.616, 0.726, 0.333)
Sb (0.642, 0.626, 0.957)
Sb (0.750, 0.316, 0.810)
Sb (0.793, 0.824, 0.114)
Sb (0.823, 0.378, 0.202)
Sb (0.940, 0.624, 0.559)
O (0.005, 0.741, 0.643)
O (0.029, 0.019, 0.787)
O (0.125, 0.736, 0.080)
O (0.199, 0.155, 0.637)
O (0.216, 0.243, 0.152)
O (0.236, 0.282, 0.400)
O (0.287, 0.758, 0.398)
O (0.351, 0.959, 0.983)
O (0.398, 0.427, 0.979)
O (0.416, 0.002, 0.272)
O (0.519, 0.503, 0.278)
O (0.582, 0.042, 0.738)
O (0.597, 0.225, 0.612)
O (0.600, 0.733, 0.601)
O (0.710, 0.122, 0.067)
O (0.712, 0.616, 0.049)
O (0.715, 0.401, 0.715)
O (0.718, 0.340, 0.408)
O (0.857, 0.919, 0.507)
O (0.888, 0.851, 0.923)
O (0.890, 0.588, 0.798)
O (0.950, 0.037, 0.227)
O (0.956, 0.513, 0.271)
O (0.976, 0.294, 0.939)

Result of the stability comparison: Q is the most stable of them.

P.
# Mg7Si4

A relaxed structure of Mg7Si4 (PBE, the Materials Project).

Summary:
- Space group: P1, No. 1

a = 5.372 Å, b = 6.132 Å, c = 13.620 Å
α = 99.95°, β = 96.80°, γ = 90.01°
Sites, in units of the cell vectors:
Mg (0.000, 0.000, 0.000)
Mg (0.001, 0.300, 0.558)
Mg (0.042, 0.887, 0.213)
Mg (0.144, 0.518, 0.025)
Mg (0.489, 0.148, 0.903)
Mg (0.491, 0.022, 0.493)
Mg (0.501, 0.541, 0.517)
Mg (0.516, 0.938, 0.116)
Mg (0.566, 0.656, 0.913)
Mg (0.614, 0.349, 0.707)
Mg (0.679, 0.444, 0.131)
Mg (0.683, 0.247, 0.325)
Mg (0.732, 0.856, 0.711)
Mg (0.992, 0.782, 0.506)
Si (0.033, 0.615, 0.837)
Si (0.190, 0.261, 0.372)
Si (0.202, 0.296, 0.185)
Si (0.222, 0.056, 0.698)
Si (0.246, 0.630, 0.336)
Si (0.246, 0.664, 0.696)
Si (0.684, 0.745, 0.320)
Si (0.988, 0.220, 0.838)

Q.
# Mg7Si4

A relaxed structure of Mg7Si4 (PBE, the Materials Project).

Summary:
- Space group: P1, No. 1

a = 5.379 Å, b = 6.063 Å, c = 13.831 Å
α = 99.64°, β = 99.40°, γ = 93.68°
Sites, in units of the cell vectors:
Mg (0.000, 0.000, 0.000)
Mg (0.000, 0.486, 0.961)
Mg (0.178, 0.436, 0.463)
Mg (0.250, 0.085, 0.284)
Mg (0.341, 0.977, 0.499)
Mg (0.444, 0.643, 0.313)
Mg (0.498, 0.727, 0.931)
Mg (0.505, 0.251, 0.989)
Mg (0.685, 0.104, 0.788)
Mg (0.741, 0.255, 0.217)
Mg (0.750, 0.656, 0.530)
Mg (0.831, 0.712, 0.154)
Mg (0.837, 0.622, 0.757)
Mg (0.912, 0.184, 0.608)
Si (0.192, 0.965, 0.815)
Si (0.226, 0.349, 0.794)
Si (0.233, 0.364, 0.140)
Si (0.294, 0.755, 0.653)
Si (0.327, 0.770, 0.117)
Si (0.428, 0.371, 0.646)
Si (0.787, 0.083, 0.399)
Si (0.953, 0.719, 0.353)

Result of the stability comparison: Q is the most stable of them.

P.
# YTi2S4

A relaxed structure of YTi2S4 (PBE, the Materials Project).

Summary:
- Space group: I4_1/amd, No. 141

a = 7.670 Å, b = 7.670 Å, c = 7.670 Å
α = 121.90°, β = 121.90°, γ = 86.75°
Sites, in units of the cell vectors:
Y (0.375, 0.625, 0.750)
Y (0.625, 0.375, 0.250)
Ti (0.000, 0.000, 0.000)
Ti (0.000, 0.000, 0.500)
Ti (0.000, 0.500, 0.000)
Ti (0.500, 0.000, 0.500)
S (0.209, 0.229, 0.981)
S (0.229, 0.209, 0.481)
S (0.229, 0.748, 0.019)
S (0.252, 0.771, 0.481)
S (0.748, 0.229, 0.519)
S (0.771, 0.252, 0.981)
S (0.771, 0.791, 0.519)
S (0.791, 0.771, 0.019)

Q.
# YTi2S4

A relaxed structure of YTi2S4 (PBE, the Materials Project).

Summary:
- Space group: Imma, No. 74

a = 7.271 Å, b = 7.271 Å, c = 7.271 Å
α = 120.48°, β = 118.07°, γ = 91.27°
Sites, in units of the cell vectors:
Y (0.000, 0.000, 0.000)
Y (0.500, 0.000, 0.500)
Ti (0.000, 0.500, 0.500)
Ti (0.500, 0.000, 0.000)
Ti (0.500, 0.500, 0.000)
Ti (0.500, 0.500, 0.500)
S (0.249, 0.267, 0.518)
S (0.249, 0.731, 0.982)
S (0.254, 0.739, 0.515)
S (0.276, 0.261, 0.015)
S (0.724, 0.739, 0.985)
S (0.746, 0.261, 0.485)
S (0.751, 0.269, 0.018)
S (0.751, 0.733, 0.482)

Result of the stability comparison: Q is the most stable of them.